Version A
VASP calculation (PBE+U) on an optimized crystal structure of Li3MnP2O8.

a b c (Å): 4.7273 5.0746 27.4519
angles (deg): 92.02 85.07 117.74
Positions (direct):
Li 0.6597 0.7505 0.4179
O 0.0452 0.3262 0.9579
P 0.3383 0.3751 0.6917
O 0.2255 0.3501 0.4297
O 0.2102 0.0110 0.2339
P 0.3484 0.1263 0.4416
O 0.4299 0.2353 0.0165
O 0.5704 0.7623 0.9838
Li 0.3415 0.2463 0.5820
P 0.3383 0.8752 0.1917
O 0.0451 0.8262 0.4579
O 0.3247 0.5746 0.2079
O 0.9554 0.1712 0.5423
Li 0.3249 0.9954 0.3318
Li 0.9846 0.3730 0.3750
O 0.9555 0.6713 0.0423
P 0.6617 0.1195 0.8082
Li 0.3415 0.7464 0.0820
O 0.3247 0.0745 0.7079
O 0.4298 0.7352 0.5165
O 0.6746 0.9199 0.2920
O 0.7761 0.6477 0.5705
P 0.3485 0.6264 0.9417
P 0.6616 0.6196 0.3082
O 0.4710 0.9362 0.6031
O 0.2102 0.5109 0.7339
O 0.5304 0.0611 0.3972
O 0.7892 0.4836 0.2660
Mn 0.0006 0.4991 0.5001
O 0.6746 0.4198 0.7920
O 0.6972 0.0983 0.1798
O 0.3030 0.3961 0.3203
Li 0.6756 0.0001 0.6684
Mn 0.9996 0.2472 0.2500
O 0.3030 0.8961 0.8203
P 0.6524 0.8711 0.5586
Li 0.3249 0.4954 0.8318
O 0.8647 0.6846 0.3526
Mn 0.0005 0.9991 0.0001
Li 0.0165 0.1233 0.1251
O 0.1360 0.3107 0.6472
O 0.8647 0.1847 0.8526
O 0.6973 0.5984 0.6798
Li 0.0165 0.6233 0.6251
O 0.2255 0.8502 0.9297
Li 0.6597 0.2506 0.9179
O 0.5703 0.2622 0.4838
O 0.7893 0.9836 0.7660
O 0.1360 0.8107 0.1472
O 0.5303 0.5611 0.8972
Li 0.9846 0.8730 0.8750
O 0.4710 0.4362 0.1031
Li 0.6756 0.5001 0.1684
O 0.7762 0.1477 0.0705
Mn 0.9996 0.7474 0.7500
P 0.6524 0.3711 0.0586

Total magnetization in μB per atom: 0.286
V in Å³/cell: 581
ρ in g cm⁻³: 3.04



Version B
VASP calculation (PBE+U) on an optimized crystal structure of Li3MnP2O8.

a b c (Å): 5.9000 9.5907 11.0380
angles (deg): 66.87 90.00 90.00
Positions (direct):
O 0.7500 0.8753 0.4431
Mn 0.7500 0.8421 0.2781
O 0.5425 0.7786 0.6567
Li 0.7500 0.4828 0.9352
O 0.2500 0.7008 0.8801
Li 0.7500 0.3595 0.7737
O 0.5405 0.0439 0.1704
Li 0.0000 0.5000 0.5000
P 0.7500 0.6445 0.1004
O 0.9596 0.5439 0.1704
O 0.5405 0.5439 0.1704
O 0.2500 0.9146 0.4169
O 0.0425 0.2214 0.3433
O 0.7500 0.2992 0.1198
O 0.4595 0.9561 0.8296
O 0.9575 0.2785 0.6567
O 0.0404 0.4562 0.8296
O 0.7500 0.1810 0.9530
O 0.4595 0.4562 0.8296
O 0.2500 0.3190 0.0470
O 0.4575 0.2214 0.3433
O 0.2500 0.6247 0.5568
O 0.0425 0.7215 0.3433
Li 0.7500 0.8595 0.7737
O 0.9575 0.7786 0.6567
Mn 0.7500 0.3420 0.2782
O 0.2500 0.8189 0.0470
Li 0.2500 0.1405 0.2263
O 0.9596 0.0439 0.1704
Li 0.0000 0.0000 0.5000
P 0.2500 0.8555 0.8996
P 0.2500 0.2583 0.4137
O 0.5425 0.2786 0.6567
O 0.7500 0.3752 0.4432
P 0.2500 0.3555 0.8996
Mn 0.2500 0.1579 0.7220
O 0.7500 0.5854 0.5831
O 0.0404 0.9561 0.8296
Mn 0.2500 0.6579 0.7218
Li 0.5000 0.0000 0.5000
O 0.4575 0.7214 0.3433
Li 0.7500 0.9828 0.9352
Li 0.5000 0.5000 0.5000
P 0.7500 0.7417 0.5863
Li 0.2500 0.6404 0.2263
O 0.7500 0.0854 0.5831
O 0.2500 0.4146 0.4169
O 0.7500 0.7992 0.1198
P 0.7500 0.1445 0.1004
O 0.7500 0.6810 0.9530
Li 0.2500 0.0172 0.0647
P 0.2500 0.7583 0.4137
P 0.7500 0.2417 0.5863
O 0.2500 0.2008 0.8802
O 0.2500 0.1247 0.5569
Li 0.2500 0.5172 0.0647

Total magnetization in μB per atom: 0.000
V in Å³/cell: 574
ρ in g cm⁻³: 3.07



version A is favored, and the nearest alternative lies 10 meV per atom above it.



Version A
VASP calculation (PBE+U) on an optimized crystal structure of MgMn2O4.

a b c (Å): 3.0099 9.9176 9.6199
angles (deg): 90.00 90.00 90.00
Positions (direct):
Mg 0.1731 0.1467 0.2500
Mg 0.1731 0.3533 0.7500
Mg 0.8269 0.6467 0.2500
Mg 0.8269 0.8533 0.7500
Mn 0.2973 0.6154 0.5708
Mn 0.2973 0.6154 0.9292
Mn 0.2973 0.8846 0.0708
Mn 0.2973 0.8846 0.4292
Mn 0.7027 0.1154 0.5708
Mn 0.7027 0.1154 0.9292
Mn 0.7027 0.3846 0.0708
Mn 0.7027 0.3846 0.4292
O 0.1243 0.2500 0.0000
O 0.1243 0.2500 0.5000
O 0.2971 0.5329 0.1149
O 0.2971 0.5329 0.3851
O 0.2971 0.9671 0.6149
O 0.2971 0.9671 0.8851
O 0.3224 0.7065 0.7500
O 0.3224 0.7935 0.2500
O 0.6776 0.2065 0.7500
O 0.6776 0.2935 0.2500
O 0.7029 0.0329 0.1149
O 0.7029 0.0329 0.3851
O 0.7029 0.4671 0.6149
O 0.7029 0.4671 0.8851
O 0.8757 0.7500 0.0000
O 0.8757 0.7500 0.5000

Total magnetization in μB per atom: 1.143
V in Å³/cell: 287
ρ in g cm⁻³: 4.58



Version B
VASP calculation (PBE+U) on an optimized crystal structure of MgMn2O4.

a b c (Å): 6.0827 6.0827 6.0827
angles (deg): 60.00 60.00 60.00
Positions (direct):
Mg 0.1250 0.1250 0.1250
Mg 0.8750 0.8750 0.8750
Mn 0.0000 0.5000 0.5000
Mn 0.5000 0.0000 0.5000
Mn 0.5000 0.5000 0.0000
Mn 0.5000 0.5000 0.5000
O 0.2605 0.2605 0.2605
O 0.2605 0.2605 0.7184
O 0.2605 0.7184 0.2605
O 0.2816 0.7395 0.7395
O 0.7184 0.2605 0.2605
O 0.7395 0.2816 0.7395
O 0.7395 0.7395 0.2816
O 0.7395 0.7395 0.7395

Total magnetization in μB per atom: 0.143
V in Å³/cell: 159
ρ in g cm⁻³: 4.14



version A is favored, and the nearest alternative lies 172 meV per atom above it.